1.
Here is VI after structural relaxation from Materials Project. Energies are from GGA-PBE.

Cell lengths 4.181, 4.181, 8.461 Å; angles 90.00, 90.00, 120.00 degrees
Element x y z (fractional)
V  0.667  0.333  0.852
V  0.333  0.667  0.352
I  0.667  0.333  0.523
I  0.333  0.667  0.023

Results
DFT total energy: -4.766 eV per atom
Total magnetization: 4.000 μB per formula unit
Formation energy: 0.349 eV per atom
Total energy after the MP2020 corrections: -4.955 eV/atom
SG: P6_3mc, No. 186

=====

2.
Here is AlH20C2S2NO14 after structural relaxation from Materials Project. Energies are from GGA-PBE.

Cell lengths 10.764, 6.474, 12.084 Å; angles 67.65, 90.00, 90.00 degrees
Element x y z (fractional)
Al  0.748  0.506  0.493
Al  0.252  0.506  0.993
H  0.695  0.100  0.084
H  0.305  0.100  0.584
H  0.849  0.034  0.088
H  0.151  0.034  0.588
H  0.721  0.691  0.646
H  0.279  0.691  0.146
H  0.597  0.536  0.658
H  0.403  0.536  0.158
H  0.781  0.330  0.334
H  0.219  0.330  0.834
H  0.897  0.502  0.319
H  0.103  0.502  0.819
H  0.731  0.081  0.614
H  0.269  0.081  0.114
H  0.592  0.191  0.590
H  0.408  0.191  0.090
H  0.772  0.931  0.374
H  0.228  0.931  0.874
H  0.909  0.812  0.401
H  0.091  0.812  0.901
H  0.561  0.747  0.382
H  0.439  0.747  0.882
H  0.569  0.520  0.348
H  0.431  0.520  0.848
H  0.936  0.267  0.609
H  0.064  0.267  0.109
H  0.928  0.495  0.639
H  0.072  0.495  0.139
H  0.814  0.362  0.917
H  0.186  0.362  0.417
H  0.687  0.229  0.872
H  0.313  0.229  0.372
H  0.842  0.133  0.870
H  0.158  0.133  0.370
H  0.641  0.825  0.005
H  0.359  0.825  0.505
H  0.803  0.757  0.004
H  0.197  0.757  0.504
H  0.724  0.704  0.145
H  0.276  0.704  0.645
C  0.778  0.204  0.916
C  0.222  0.204  0.416
C  0.731  0.814  0.050
C  0.269  0.814  0.550
S  0.428  0.182  0.757
S  0.572  0.182  0.257
S  0.935  0.832  0.730
S  0.065  0.832  0.230
N  0.765  0.043  0.042
N  0.235  0.043  0.542
O  0.672  0.602  0.609
O  0.328  0.602  0.109
O  0.826  0.423  0.372
O  0.174  0.423  0.872
O  0.681  0.213  0.561
O  0.319  0.213  0.061
O  0.819  0.795  0.427
O  0.181  0.795  0.927
O  0.600  0.594  0.403
O  0.400  0.594  0.903
O  0.894  0.417  0.588
O  0.106  0.417  0.088
O  0.289  0.171  0.778
O  0.711  0.171  0.278
O  0.450  0.172  0.637
O  0.550  0.172  0.137
O  0.476  0.400  0.756
O  0.524  0.400  0.256
O  0.489  0.993  0.853
O  0.511  0.993  0.353
O  0.799  0.847  0.701
O  0.201  0.847  0.201
O  0.987  0.623  0.722
O  0.013  0.623  0.222
O  0.953  0.827  0.852
O  0.047  0.827  0.352
O  0.999  0.031  0.641
O  0.001  0.031  0.141

Results
DFT total energy: -5.449 eV per atom
Total magnetization: 0.000 μB per formula unit
Formation energy: -1.291 eV per atom
Total energy after the MP2020 corrections: -5.689 eV/atom
SG: Pc, No. 7

=====

3.
Here is U11O5 after structural relaxation from Materials Project. Energies are from GGA-PBE.

Cell lengths 3.319, 7.969, 11.712 Å; angles 85.57, 82.41, 78.75 degrees
Element x y z (fractional)
U  0.920  0.053  0.973
U  0.774  0.684  0.859
U  0.544  0.291  0.810
U  0.213  0.904  0.779
U  0.812  0.516  0.664
U  0.739  0.204  0.519
U  0.353  0.818  0.411
U  0.046  0.416  0.383
U  0.799  0.031  0.327
U  0.250  0.383  0.100
U  0.535  0.703  0.196
O  0.315  0.521  0.934
O  0.890  0.657  0.499
O  0.674  0.060  0.685
O  0.256  0.193  0.244
O  0.950  0.908  0.140

Results
DFT total energy: -10.519 eV per atom
Total magnetization: 4.170 μB per formula unit
Formation energy: -1.425 eV per atom
Total energy after the MP2020 corrections: -10.734 eV/atom
SG: P1, No. 1

=====

4.
Here is In3Pt after structural relaxation from Materials Project. Energies are from GGA-PBE.

Cell lengths 5.484, 5.484, 5.484 Å; angles 132.93, 132.93, 68.77 degrees
Element x y z (fractional)
In  0.750  0.250  0.500
In  0.250  0.750  0.500
In  0.500  0.500  0.000
Pt  0.000  0.000  0.000

Results
DFT total energy: -3.600 eV per atom
Total magnetization: 0.002 μB per formula unit
Formation energy: -0.019 eV per atom
SG: I4/mmm, No. 139

=====

5.
Here is La3AgSnSe7 after structural relaxation from Materials Project. Energies are from GGA-PBE.

Cell lengths 10.924, 10.924, 6.330 Å; angles 90.00, 90.00, 120.00 degrees
Element x y z (fractional)
La  0.867  0.223  0.617
La  0.643  0.867  0.117
La  0.223  0.357  0.117
La  0.777  0.643  0.617
La  0.357  0.133  0.617
La  0.133  0.777  0.117
Ag  0.000  0.000  0.554
Ag  0.000  0.000  0.054
Sn  0.667  0.333  0.199
Sn  0.333  0.667  0.699
Se  0.667  0.333  0.801
Se  0.333  0.667  0.301
Se  0.166  0.270  0.593
Se  0.897  0.166  0.093
Se  0.270  0.103  0.093
Se  0.730  0.897  0.593
Se  0.103  0.834  0.593
Se  0.834  0.730  0.093
Se  0.575  0.089  0.371
Se  0.486  0.575  0.871
Se  0.425  0.911  0.871
Se  0.514  0.425  0.371
Se  0.911  0.486  0.371
Se  0.089  0.514  0.871

Results
DFT total energy: -5.244 eV per atom
Total magnetization: 0.002 μB per formula unit
Formation energy: -1.676 eV per atom
Total energy after the MP2020 corrections: -5.519 eV/atom
Largest piezoelectric modulus: 1.18 C/m²
SG: P6_3, No. 173

=====

6.
Here is Tm4Fe after structural relaxation from Materials Project. Energies are from GGA-PBE.

Cell lengths 7.336, 7.336, 7.336 Å; angles 60.00, 60.00, 60.00 degrees
Element x y z (fractional)
Tm  0.385  0.385  0.385
Tm  0.385  0.385  0.845
Tm  0.385  0.845  0.385
Tm  0.865  0.865  0.405
Tm  0.865  0.865  0.865
Tm  0.845  0.385  0.385
Tm  0.865  0.405  0.865
Tm  0.405  0.865  0.865
Fe  0.000  0.000  0.000
Fe  0.250  0.250  0.250

Results
DFT total energy: -4.847 eV per atom
Total magnetization: 0.003 μB per formula unit
Formation energy: 0.428 eV per atom
SG: Fd-3m, No. 227

=====

7.
Here is Na8Hf2Al2Si5SO24 after structural relaxation from Materials Project. Energies are from GGA-PBE.

Cell lengths 9.037, 9.014, 22.103 Å; angles 89.78, 89.79, 119.71 degrees
Element x y z (fractional)
Na  0.639  0.002  0.253
Na  0.361  0.363  0.247
Na  0.000  0.636  0.250
Na  0.635  0.636  0.748
Na  0.999  0.363  0.750
Na  0.366  0.003  0.750
Na  0.303  0.338  0.585
Na  0.035  0.699  0.582
Na  0.664  0.965  0.582
Na  0.288  0.965  0.082
Na  0.668  0.693  0.086
Na  0.042  0.336  0.087
Na  0.974  0.668  0.917
Na  0.702  0.042  0.912
Na  0.322  0.287  0.919
Na  0.962  0.294  0.411
Na  0.328  0.022  0.415
Na  0.714  0.681  0.417
Na  0.994  0.992  0.499
Na  0.014  0.005  0.000
Na  0.667  0.326  0.834
Na  0.674  0.331  0.332
Na  0.326  0.657  0.164
Na  0.335  0.667  0.663
Hf  0.000  0.001  0.648
Hf  0.669  0.335  0.686
Hf  0.669  0.344  0.187
Hf  0.674  0.333  0.483
Hf  0.330  0.672  0.311
Hf  0.324  0.670  0.816
Al  0.987  0.984  0.348
Al  0.016  0.013  0.850
Al  0.014  0.999  0.151
Al  0.663  0.333  0.983
Al  0.294  0.642  0.017
Al  0.338  0.687  0.522
Si  0.281  0.003  0.251
Si  0.720  0.722  0.248
Si  0.999  0.274  0.250
Si  0.292  0.292  0.753
Si  0.997  0.714  0.755
Si  0.714  0.999  0.755
Si  0.975  0.342  0.582
Si  0.371  0.035  0.582
Si  0.658  0.630  0.581
Si  0.958  0.630  0.080
Si  0.371  0.337  0.079
Si  0.028  0.362  0.920
Si  0.336  0.964  0.922
Si  0.629  0.955  0.418
Si  0.044  0.675  0.418
S  0.666  0.041  0.081
S  0.624  0.666  0.920
S  0.331  0.374  0.418
O  0.196  0.035  0.311
O  0.832  0.796  0.309
O  0.971  0.161  0.311
O  0.204  0.169  0.811
O  0.968  0.808  0.813
O  0.837  0.028  0.812
O  0.790  0.964  0.692
O  0.176  0.214  0.692
O  0.036  0.826  0.692
O  0.806  0.840  0.188
O  0.029  0.190  0.189
O  0.168  0.965  0.190
O  0.886  0.378  0.641
O  0.494  0.124  0.641
O  0.626  0.508  0.641
O  0.878  0.505  0.140
O  0.635  0.117  0.137
O  0.492  0.371  0.140
O  0.470  0.302  0.023
O  0.829  0.530  0.023
O  0.693  0.153  0.028
O  0.456  0.160  0.523
O  0.697  0.542  0.523
O  0.845  0.299  0.524
O  0.540  0.692  0.972
O  0.160  0.453  0.976
O  0.308  0.830  0.978
O  0.533  0.832  0.476
O  0.308  0.459  0.472
O  0.168  0.699  0.476
O  0.124  0.630  0.358
O  0.509  0.869  0.358
O  0.359  0.480  0.362
O  0.116  0.489  0.860
O  0.377  0.884  0.861
O  0.519  0.637  0.864
O  0.029  0.848  0.411
O  0.822  0.980  0.411
O  0.179  0.204  0.413
O  0.012  0.172  0.911
O  0.159  0.974  0.913
O  0.796  0.819  0.914
O  0.987  0.168  0.586
O  0.183  0.017  0.586
O  0.831  0.816  0.586
O  0.974  0.819  0.088
O  0.822  0.026  0.086
O  0.181  0.166  0.088
O  0.694  0.170  0.749
O  0.481  0.309  0.747
O  0.829  0.523  0.749
O  0.696  0.526  0.245
O  0.829  0.299  0.245
O  0.476  0.168  0.245
O  0.641  0.509  0.924
O  0.841  0.350  0.929
O  0.507  0.156  0.928
O  0.642  0.146  0.420
O  0.487  0.358  0.420
O  0.850  0.504  0.420
O  0.360  0.516  0.072
O  0.150  0.649  0.075
O  0.514  0.869  0.076
O  0.357  0.849  0.577
O  0.486  0.643  0.574
O  0.160  0.510  0.572
O  0.305  0.832  0.254
O  0.524  0.690  0.253
O  0.170  0.469  0.254
O  0.317  0.484  0.758
O  0.168  0.693  0.757
O  0.523  0.829  0.759

Results
DFT total energy: -7.024 eV per atom
Total magnetization: 0.000 μB per formula unit
Formation energy: -2.940 eV per atom
Total energy after the MP2020 corrections: -7.417 eV/atom
SG: P1, No. 1

=====

8.
Here is Eu2B5ClO9 after structural relaxation from Materials Project. Energies are from GGA-PBE.

Cell lengths 6.570, 11.406, 11.498 Å; angles 90.00, 90.00, 90.00 degrees
Element x y z (fractional)
Eu  0.332  0.759  0.974
Eu  0.494  0.547  0.247
Eu  0.994  0.953  0.747
Eu  0.994  0.047  0.253
Eu  0.494  0.453  0.753
Eu  0.832  0.741  0.474
Eu  0.832  0.259  0.526
Eu  0.332  0.241  0.026
B  0.190  0.323  0.273
B  0.339  0.202  0.686
B  0.965  0.497  0.253
B  0.299  0.768  0.538
B  0.799  0.268  0.962
B  0.465  0.997  0.247
B  0.965  0.503  0.747
B  0.839  0.702  0.814
B  0.339  0.798  0.314
B  0.839  0.298  0.186
B  0.022  0.718  0.208
B  0.022  0.282  0.792
B  0.465  0.003  0.753
B  0.690  0.177  0.773
B  0.190  0.677  0.727
B  0.522  0.782  0.708
B  0.690  0.823  0.227
B  0.299  0.232  0.462
B  0.799  0.732  0.038
B  0.522  0.218  0.292
Cl  0.889  0.000  0.500
Cl  0.140  0.000  0.000
Cl  0.640  0.500  0.500
Cl  0.389  0.500  0.000
O  0.649  0.049  0.785
O  0.149  0.549  0.715
O  0.237  0.229  0.575
O  0.490  0.208  0.421
O  0.490  0.792  0.579
O  0.311  0.926  0.289
O  0.737  0.729  0.925
O  0.422  0.886  0.768
O  0.144  0.263  0.385
O  0.241  0.274  0.777
O  0.644  0.237  0.885
O  0.922  0.386  0.732
O  0.907  0.182  0.744
O  0.241  0.726  0.223
O  0.907  0.818  0.256
O  0.237  0.771  0.425
O  0.311  0.074  0.711
O  0.811  0.574  0.789
O  0.649  0.951  0.215
O  0.149  0.451  0.285
O  0.559  0.770  0.318
O  0.741  0.774  0.723
O  0.990  0.708  0.079
O  0.737  0.271  0.075
O  0.407  0.318  0.244
O  0.644  0.763  0.115
O  0.059  0.270  0.182
O  0.559  0.230  0.682
O  0.407  0.682  0.756
O  0.811  0.426  0.211
O  0.059  0.730  0.818
O  0.741  0.226  0.277
O  0.144  0.737  0.615
O  0.422  0.114  0.232
O  0.990  0.292  0.921
O  0.922  0.614  0.268

Results
DFT total energy: -8.529 eV per atom
Total magnetization: 13.999 μB per formula unit
Formation energy: -2.994 eV per atom
Total energy after the MP2020 corrections: -8.893 eV/atom
SG: Pnn2, No. 34